The following is a PBE calculation of a geometry-optimized Be3Cd2N2F12 structure, from the Materials Project database.

Unit cell a=10.6560 b=10.6560 c=10.6560 alpha=90.00 beta=90.00 gamma=90.00
Last column: nearest neighbours and their distance in Å.
Space group P2_13 (No. 198)
Unique sites:
Be 0.0176 0.2161 0.3753  4 F 1.55-1.56
Cd 0.0988 0.9012 0.4012  6 F 2.23
Cd 0.1650 0.6650 0.8350  6 F 2.22-2.23
N 0.0485 0.0485 0.0485  9 F 3.04-3.39
N 0.1833 0.3167 0.6833  12 F 3.08-3.42
F 0.0008 0.0579 0.7339  1 Be 1.56
F 0.0098 0.0767 0.3298  1 Be 1.56
F 0.0418 0.8031 0.2249  1 Be 1.55
F 0.0971 0.8435 0.7525  1 Be 1.56

Formation energy in meV/atom: -1861.9